[1]
An optimized crystal structure of MgInFe2O4, computed with PBE with a Hubbard U.

Lattice parameters (Å, degrees): 11.207 11.207 11.207 16.47 16.47 16.47
Element x y z (fractional)
O: 0.132 0.132 0.132
O: 0.702 0.702 0.702
O: 0.868 0.868 0.868
O: 0.298 0.298 0.298
Fe: 0.763 0.763 0.763
Fe: 0.237 0.237 0.237
In: 0.000 0.000 0.000
Mg: 0.500 0.500 0.500

- space-group type = R-3m
- ΔE_f (eV/atom) = -1.50


[2]
An optimized crystal structure of CaMn2O5, computed with PBE with a Hubbard U.

Lattice parameters (Å, degrees): 3.707 5.492 10.380 90.00 90.00 90.00
Element x y z (fractional)
O: 0.500 0.519 0.388
O: 0.000 0.691 0.708
O: 0.000 0.294 0.523
O: 0.000 0.309 0.208
O: 0.500 0.033 0.102
O: 0.000 0.222 0.773
O: 0.000 0.778 0.273
O: 0.500 0.967 0.602
O: 0.000 0.706 0.023
O: 0.500 0.481 0.888
Mn: 0.000 0.010 0.637
Mn: 0.000 0.990 0.137
Mn: 0.000 0.534 0.867
Mn: 0.000 0.466 0.367
Ca: 0.500 0.538 0.131
Ca: 0.500 0.462 0.631

- space-group type = Pmc2_1
- ΔE_f (eV/atom) = -2.00
- distance to the lowest polymorph of the same formula (meV/atom) = 104


[3]
An optimized crystal structure of Li3V3P8O29, computed with PBE with a Hubbard U.

Lattice parameters (Å, degrees): 9.753 9.777 14.216 90.05 89.99 119.90
Element x y z (fractional)
O: 0.619 0.093 0.173
O: 0.235 0.232 0.429
O: 0.740 0.650 0.169
O: 0.674 0.328 0.974
O: 0.994 0.203 0.752
O: 0.086 0.738 0.829
O: 0.015 0.765 0.435
O: 0.479 0.099 0.681
O: 0.344 0.089 0.165
O: 0.348 0.680 0.528
O: 0.813 0.481 0.824
O: 0.814 0.339 0.323
O: 0.792 0.799 0.930
O: 0.462 0.384 0.168
O: 0.344 0.260 0.668
O: 0.521 0.904 0.315
O: 0.762 0.769 0.574
O: 0.382 0.918 0.828
O: 0.205 0.210 0.075
O: 0.660 0.330 0.472
O: 0.657 0.916 0.837
O: 0.656 0.742 0.330
O: 0.202 0.989 0.925
O: 0.203 0.995 0.746
O: 0.249 0.006 0.570
O: 0.518 0.329 0.825
O: 0.480 0.668 0.176
O: 0.998 0.232 0.570
O: 0.750 0.991 0.428
O: 0.513 0.177 0.326
O: 0.795 0.794 0.751
O: 0.259 0.920 0.335
O: 0.481 0.820 0.679
O: 0.795 0.004 0.250
O: 0.741 0.082 0.664
O: 0.003 0.236 0.929
O: 0.181 0.667 0.669
O: 0.994 0.791 0.257
O: 0.183 0.510 0.171
O: 0.997 0.785 0.079
O: 0.205 0.204 0.252
O: 0.341 0.527 0.680
O: 0.655 0.473 0.321
O: 0.088 0.346 0.335
O: 0.674 0.183 0.828
O: 0.783 0.018 0.069
O: 0.618 0.526 0.679
O: 0.332 0.661 0.026
O: 0.257 0.344 0.833
O: 0.090 0.473 0.824
O: 0.328 0.812 0.172
O: 0.915 0.660 0.661
O: 0.101 0.622 0.322
O: 0.921 0.535 0.175
O: 0.906 0.381 0.679
O: 0.538 0.617 0.831
O: 0.382 0.474 0.324
O: 0.920 0.263 0.165
P: 0.778 0.092 0.159
P: 0.665 0.330 0.870
P: 0.086 0.314 0.839
P: 0.330 0.661 0.130
P: 0.695 0.777 0.845
P: 0.681 0.911 0.338
P: 0.090 0.774 0.343
P: 0.230 0.315 0.343
P: 0.318 0.092 0.660
P: 0.913 0.227 0.656
P: 0.771 0.687 0.659
P: 0.914 0.689 0.162
P: 0.220 0.913 0.840
P: 0.306 0.226 0.158
P: 0.333 0.668 0.632
P: 0.659 0.329 0.368
Li: 0.016 0.943 0.000
Li: 0.086 0.773 0.560
Li: 0.699 0.919 0.551
Li: 0.766 0.090 0.944
Li: 0.316 0.094 0.442
Li: 0.100 0.331 0.058
V: 0.437 0.437 0.752
V: 0.431 0.996 0.241
V: 0.564 0.567 0.248
V: 0.999 0.435 0.256
V: 0.564 0.999 0.752
V: 0.993 0.561 0.752

- space-group type = P1
- ΔE_f (eV/atom) = -2.52
- distance to the lowest polymorph of the same formula (meV/atom) = 12


[4]
An optimized crystal structure of Li9Mn2Co5O16, computed with PBE with a Hubbard U.

Lattice parameters (Å, degrees): 5.887 5.896 8.092 90.73 90.91 93.14
Element x y z (fractional)
Li: 0.255 0.246 0.743
Li: 0.500 0.000 0.500
Li: 0.000 0.000 0.500
Li: 0.000 0.500 0.500
Li: 0.745 0.754 0.257
Li: 0.255 0.754 0.742
Li: 0.500 0.500 0.000
Li: 0.745 0.246 0.258
Li: 0.500 0.000 0.000
Mn: 0.255 0.244 0.253
Mn: 0.745 0.756 0.747
O: 0.234 0.735 0.015
O: 0.744 0.739 0.513
O: 0.727 0.270 0.518
O: 0.498 0.478 0.259
O: 0.996 0.984 0.759
O: 0.968 0.513 0.761
O: 0.256 0.261 0.487
O: 0.004 0.016 0.241
O: 0.762 0.765 0.992
O: 0.238 0.235 0.008
O: 0.466 0.007 0.248
O: 0.273 0.730 0.482
O: 0.502 0.522 0.741
O: 0.534 0.993 0.752
O: 0.032 0.487 0.239
O: 0.766 0.265 0.985
Co: 0.255 0.746 0.254
Co: 0.745 0.254 0.746
Co: 0.500 0.500 0.500
Co: 0.000 0.000 0.000
Co: 0.000 0.500 0.000

- space-group type = P-1
- ΔE_f (eV/atom) = -1.85
- distance to the lowest polymorph of the same formula (meV/atom) = 14


[5]
An optimized crystal structure of MgTiZn2WO6, computed with PBE with a Hubbard U.

Lattice parameters (Å, degrees): 5.476 5.264 8.610 82.96 141.21 115.99
Element x y z (fractional)
O: 0.021 0.201 0.764
O: 0.398 0.958 0.760
O: 0.349 0.393 0.275
O: 0.045 0.762 0.238
O: 0.773 0.610 0.742
O: 0.705 0.034 0.262
W: 0.046 0.986 0.008
Mg: 0.374 0.160 0.520
Ti: 0.712 0.812 0.492
Zn: 0.372 0.658 0.969
Zn: 0.720 0.310 0.054

- space-group type = P1
- ΔE_f (eV/atom) = -2.17
- distance to the lowest polymorph of the same formula (meV/atom) = 0


[6]
An optimized crystal structure of Mn6Te5O16, computed with PBE with a Hubbard U.

Lattice parameters (Å, degrees): 10.716 11.556 13.438 90.00 90.00 90.00
Element x y z (fractional)
Te: 0.535 0.993 0.364
Te: 0.750 0.779 0.494
Te: 0.250 0.721 0.994
Te: 0.465 0.007 0.636
Te: 0.250 0.698 0.683
Te: 0.465 0.507 0.864
Te: 0.750 0.302 0.317
Te: 0.535 0.493 0.136
Te: 0.750 0.802 0.183
Te: 0.750 0.279 0.006
Te: 0.035 0.507 0.864
Te: 0.250 0.198 0.817
Te: 0.965 0.493 0.136
Te: 0.250 0.536 0.364
Te: 0.250 0.221 0.506
Te: 0.750 0.464 0.636
Te: 0.750 0.964 0.864
Te: 0.965 0.993 0.364
Te: 0.035 0.007 0.636
Te: 0.250 0.036 0.136
Mn: 0.410 0.750 0.229
Mn: 0.070 0.250 0.008
Mn: 0.430 0.750 0.492
Mn: 0.575 0.016 0.107
Mn: 0.590 0.750 0.729
Mn: 0.090 0.250 0.271
Mn: 0.570 0.250 0.508
Mn: 0.930 0.750 0.992
Mn: 0.075 0.984 0.893
Mn: 0.410 0.250 0.271
Mn: 0.430 0.250 0.008
Mn: 0.910 0.250 0.771
Mn: 0.425 0.484 0.607
Mn: 0.925 0.516 0.393
Mn: 0.425 0.984 0.893
Mn: 0.075 0.484 0.607
Mn: 0.575 0.516 0.393
Mn: 0.925 0.016 0.107
Mn: 0.070 0.750 0.492
Mn: 0.930 0.250 0.508
Mn: 0.910 0.750 0.729
Mn: 0.590 0.250 0.771
Mn: 0.090 0.750 0.229
Mn: 0.570 0.750 0.992
O: 0.078 0.867 0.357
O: 0.750 0.722 0.628
O: 0.561 0.825 0.151
O: 0.484 0.074 0.246
O: 0.578 0.133 0.643
O: 0.439 0.675 0.651
O: 0.044 0.101 0.450
O: 0.615 0.689 0.445
O: 0.422 0.867 0.357
O: 0.939 0.825 0.151
O: 0.544 0.899 0.550
O: 0.750 0.809 0.819
O: 0.484 0.574 0.254
O: 0.956 0.399 0.950
O: 0.115 0.811 0.945
O: 0.439 0.175 0.849
O: 0.615 0.941 0.956
O: 0.250 0.031 0.831
O: 0.385 0.811 0.945
O: 0.250 0.278 0.372
O: 0.956 0.899 0.550
O: 0.615 0.441 0.544
O: 0.516 0.426 0.746
O: 0.885 0.941 0.956
O: 0.516 0.926 0.754
O: 0.885 0.189 0.055
O: 0.250 0.531 0.669
O: 0.115 0.059 0.044
O: 0.250 0.782 0.558
O: 0.044 0.601 0.050
O: 0.750 0.222 0.872
O: 0.750 0.469 0.331
O: 0.385 0.311 0.555
O: 0.115 0.559 0.456
O: 0.385 0.059 0.044
O: 0.250 0.691 0.319
O: 0.456 0.101 0.450
O: 0.061 0.175 0.849
O: 0.250 0.778 0.128
O: 0.561 0.325 0.349
O: 0.750 0.718 0.058
O: 0.016 0.074 0.246
O: 0.250 0.282 0.942
O: 0.250 0.191 0.181
O: 0.750 0.218 0.442
O: 0.922 0.633 0.857
O: 0.456 0.601 0.050
O: 0.615 0.189 0.055
O: 0.750 0.309 0.681
O: 0.750 0.969 0.169
O: 0.422 0.367 0.143
O: 0.984 0.926 0.754
O: 0.115 0.311 0.555
O: 0.922 0.133 0.643
O: 0.544 0.399 0.950
O: 0.061 0.675 0.651
O: 0.984 0.426 0.746
O: 0.885 0.441 0.544
O: 0.885 0.689 0.445
O: 0.385 0.559 0.456
O: 0.078 0.367 0.143
O: 0.578 0.633 0.857
O: 0.016 0.574 0.254
O: 0.939 0.325 0.349

- space-group type = Pnma
- ΔE_f (eV/atom) = -1.79


[7]
An optimized crystal structure of Sr2VMoO6, computed with PBE with a Hubbard U.

Lattice parameters (Å, degrees): 6.924 6.924 6.923 70.48 70.74 109.64
Element x y z (fractional)
O: 0.251 0.751 0.500
O: 0.759 0.500 0.741
O: 0.763 0.763 0.000
O: 0.749 0.249 0.500
O: 0.241 0.500 0.259
O: 0.237 0.237 0.000
O: 0.000 0.249 0.751
O: 0.000 0.751 0.249
O: 0.750 0.000 0.250
O: 0.250 0.000 0.750
O: 0.500 0.762 0.738
O: 0.500 0.238 0.262
Sr: 0.000 0.500 0.000
Sr: 0.000 0.000 0.500
Sr: 0.500 0.000 0.000
Sr: 0.500 0.500 0.500
Mo: 0.500 0.500 0.000
Mo: 0.000 0.500 0.500
V: 0.500 0.000 0.500
V: 0.000 0.000 0.000

- space-group type = Immm
- ΔE_f (eV/atom) = -2.75
- distance to the lowest polymorph of the same formula (meV/atom) = 10


[8]
An optimized crystal structure of Li2VSi2O7, computed with PBE with a Hubbard U.

Lattice parameters (Å, degrees): 5.195 6.072 16.490 88.25 87.88 94.69
Element x y z (fractional)
O: 0.770 0.926 0.247
O: 0.230 0.074 0.753
O: 0.431 0.931 0.382
O: 0.393 0.150 0.180
O: 0.607 0.350 0.320
O: 0.569 0.569 0.118
O: 0.088 0.692 0.832
O: 0.237 0.290 0.034
O: 0.922 0.295 0.903
O: 0.393 0.650 0.680
O: 0.230 0.574 0.253
O: 0.770 0.426 0.747
O: 0.431 0.431 0.882
O: 0.291 0.021 0.918
O: 0.088 0.192 0.332
O: 0.569 0.069 0.618
O: 0.078 0.205 0.597
O: 0.237 0.790 0.534
O: 0.912 0.308 0.168
O: 0.922 0.795 0.403
O: 0.078 0.705 0.097
O: 0.289 0.521 0.418
O: 0.607 0.850 0.820
O: 0.912 0.808 0.668
O: 0.710 0.479 0.582
O: 0.763 0.710 0.966
O: 0.711 0.979 0.082
O: 0.763 0.210 0.466
Si: 0.303 0.406 0.327
Si: 0.211 0.277 0.937
Si: 0.697 0.594 0.673
Si: 0.789 0.723 0.063
Si: 0.303 0.905 0.827
Si: 0.789 0.223 0.563
Si: 0.697 0.095 0.173
Si: 0.211 0.777 0.437
V: 0.761 0.065 0.362
V: 0.761 0.565 0.862
V: 0.239 0.436 0.138
V: 0.239 0.935 0.638
Li: 0.300 0.987 0.075
Li: 0.300 0.487 0.575
Li: 0.799 0.576 0.238
Li: 0.700 0.013 0.925
Li: 0.200 0.925 0.262
Li: 0.700 0.513 0.425
Li: 0.800 0.075 0.738
Li: 0.200 0.424 0.762

- space-group type = P-1
- ΔE_f (eV/atom) = -2.83
- distance to the lowest polymorph of the same formula (meV/atom) = 0


Number 1: magnetic moment 7.2 μB per cell. Number 2: magnetic moment 12.0 μB per cell. Number 3: magnetic moment 0.0 μB per cell. Number 4: magnetic moment 12.0 μB per cell. Number 5: magnetic moment 2.0 μB per cell. Number 6: magnetic moment 120.0 μB per cell. Number 7: magnetic moment 0.0 μB per cell. Number 8: magnetic moment 0.0 μB per cell.